Record 1
CaPtO6: optimized geometry, PBE.

a = 6.656 Å, b = 6.656 Å, c = 7.173 Å
α = 89.65°, β = 89.65°, γ = 120.47°
Positions (direct):
Ca: 0.667 0.332 0.252
Ca: 0.332 0.667 0.752
Pt: 0.000 0.999 0.500
Pt: 0.999 0.000 0.000
O: 0.283 0.205 0.334
O: 0.914 0.716 0.337
O: 0.799 0.082 0.338
O: 0.205 0.283 0.834
O: 0.082 0.799 0.838
O: 0.716 0.914 0.837
O: 0.716 0.797 0.666
O: 0.092 0.286 0.660
O: 0.198 0.912 0.662
O: 0.797 0.716 0.166
O: 0.912 0.198 0.162
O: 0.286 0.092 0.160

- formation enthalpy at 0 K (eV per atom) = -0.896
- excess energy over the best structure of this formula in the dataset (meV per atom) = 10
- density (g/cm³) = 4.017


Record 2
CaPt2O4: optimized geometry, PBE.

a = 5.782 Å, b = 5.782 Å, c = 5.747 Å
α = 90.00°, β = 90.00°, γ = 90.00°
Positions (direct):
Ca: 0.500 0.000 0.000
Ca: 0.000 0.500 0.500
Pt: 0.000 0.761 0.000
Pt: 0.000 0.239 0.000
Pt: 0.239 0.000 0.500
Pt: 0.761 0.000 0.500
O: 0.243 0.243 0.250
O: 0.243 0.243 0.750
O: 0.243 0.757 0.250
O: 0.243 0.757 0.750
O: 0.757 0.757 0.250
O: 0.757 0.243 0.750
O: 0.757 0.757 0.750
O: 0.757 0.243 0.250

- formation enthalpy at 0 K (eV per atom) = -1.575
- density (g/cm³) = 8.543


Record 3
CaPtO6: optimized geometry, PBE.

a = 6.654 Å, b = 6.654 Å, c = 7.141 Å
α = 89.70°, β = 89.70°, γ = 120.39°
Positions (direct):
Ca: 0.332 0.668 0.250
Ca: 0.668 0.332 0.750
Pt: 0.000 0.000 0.500
Pt: 0.000 0.000 0.000
O: 0.205 0.285 0.333
O: 0.714 0.914 0.337
O: 0.084 0.799 0.337
O: 0.285 0.205 0.833
O: 0.799 0.084 0.837
O: 0.914 0.714 0.837
O: 0.795 0.715 0.667
O: 0.286 0.086 0.663
O: 0.916 0.201 0.663
O: 0.715 0.795 0.167
O: 0.201 0.916 0.163
O: 0.086 0.286 0.163

- formation enthalpy at 0 K (eV per atom) = -0.906
- excess energy over the best structure of this formula in the dataset (meV per atom) = 0
- density (g/cm³) = 4.033


Record 4
RbCaO3: optimized geometry, PBE.

a = 4.617 Å, b = 4.617 Å, c = 4.617 Å
α = 90.00°, β = 90.00°, γ = 90.00°
Positions (direct):
Rb: 0.000 0.000 0.000
Ca: 0.500 0.500 0.500
O: 0.500 0.500 0.000
O: 0.500 0.000 0.500
O: 0.000 0.500 0.500

- formation enthalpy at 0 K (eV per atom) = -1.484
- density (g/cm³) = 2.929


Record 5
Rb4CaSe4O14: optimized geometry, PBE.

a = 8.215 Å, b = 8.686 Å, c = 7.910 Å
α = 89.86°, β = 82.53°, γ = 56.81°
Positions (direct):
Rb: 0.126 0.605 0.298
Rb: 0.535 0.794 0.147
Rb: 0.747 0.475 0.616
Rb: 0.638 0.190 0.006
Ca: 0.308 0.229 0.676
Se: 0.679 0.108 0.441
Se: 0.992 0.297 0.082
Se: 0.257 0.894 0.622
Se: 0.089 0.683 0.837
O: 0.616 0.163 0.664
O: 0.807 0.403 0.965
O: 0.360 0.724 0.471
O: 0.298 0.586 0.913
O: 0.441 0.243 0.388
O: 0.921 0.432 0.263
O: 0.409 0.879 0.749
O: 0.093 0.557 0.677
O: 0.729 0.892 0.412
O: 0.193 0.283 0.970
O: 0.136 0.106 0.558
O: 0.888 0.780 0.978
O: 0.047 0.087 0.117
O: 0.053 0.892 0.741

- formation enthalpy at 0 K (eV per atom) = -1.725
- excess energy over the best structure of this formula in the dataset (meV per atom) = 0
- density (g/cm³) = 3.279


Record 6
Rb4CaSe4O14: optimized geometry, PBE.

a = 8.099 Å, b = 8.479 Å, c = 8.103 Å
α = 92.39°, β = 86.49°, γ = 58.19°
Positions (direct):
Rb: 0.149 0.590 0.283
Rb: 0.497 0.789 0.123
Rb: 0.760 0.496 0.648
Rb: 0.637 0.148 0.965
Ca: 0.339 0.225 0.601
Se: 0.715 0.127 0.416
Se: 0.951 0.293 0.129
Se: 0.275 0.902 0.620
Se: 0.084 0.669 0.846
O: 0.631 0.220 0.620
O: 0.781 0.396 0.996
O: 0.381 0.731 0.464
O: 0.295 0.573 0.932
O: 0.492 0.217 0.334
O: 0.896 0.441 0.295
O: 0.456 0.923 0.702
O: 0.108 0.523 0.684
O: 0.810 0.899 0.409
O: 0.178 0.204 0.042
O: 0.139 0.113 0.541
O: 0.897 0.715 0.980
O: 0.940 0.104 0.188
O: 0.024 0.876 0.775

- formation enthalpy at 0 K (eV per atom) = -1.660
- excess energy over the best structure of this formula in the dataset (meV per atom) = 64
- density (g/cm³) = 3.255


Record 7
Rb4CaSe4O14: optimized geometry, PBE.

a = 9.268 Å, b = 8.755 Å, c = 7.674 Å
α = 91.35°, β = 94.46°, γ = 53.46°
Positions (direct):
Rb: 0.182 0.410 0.279
Rb: 0.449 0.808 0.152
Rb: 0.745 0.574 0.676
Rb: 0.558 0.193 0.803
Ca: 0.093 0.836 0.545
Se: 0.695 0.094 0.328
Se: 0.883 0.277 0.158
Se: 0.306 0.027 0.634
Se: 0.086 0.684 0.886
O: 0.598 0.279 0.454
O: 0.722 0.371 0.998
O: 0.331 0.832 0.525
O: 0.245 0.622 0.046
O: 0.570 0.107 0.158
O: 0.838 0.426 0.319
O: 0.461 0.921 0.809
O: 0.182 0.566 0.700
O: 0.825 0.881 0.429
O: 0.090 0.164 0.102
O: 0.397 0.092 0.497
O: 0.945 0.640 0.946
O: 0.894 0.076 0.257
O: 0.977 0.914 0.817

- formation enthalpy at 0 K (eV per atom) = -1.709
- excess energy over the best structure of this formula in the dataset (meV per atom) = 16
- density (g/cm³) = 3.070


Record 8
Rb4CaSe4O14: optimized geometry, PBE.

a = 8.383 Å, b = 8.383 Å, c = 8.052 Å
α = 97.56°, β = 97.56°, γ = 59.05°
Positions (direct):
Rb: 0.207 0.535 0.400
Rb: 0.465 0.793 0.100
Rb: 0.782 0.549 0.559
Rb: 0.451 0.218 0.941
Ca: 0.913 0.087 0.750
Se: 0.706 0.107 0.394
Se: 0.893 0.294 0.106
Se: 0.312 0.897 0.618
Se: 0.103 0.688 0.882
O: 0.646 0.270 0.561
O: 0.730 0.354 0.939
O: 0.383 0.775 0.434
O: 0.225 0.617 0.066
O: 0.515 0.112 0.294
O: 0.888 0.485 0.206
O: 0.492 0.902 0.733
O: 0.098 0.508 0.767
O: 0.856 0.906 0.486
O: 0.094 0.144 0.014
O: 0.124 0.113 0.597
O: 0.887 0.876 0.903
O: 0.818 0.182 0.250
O: 0.213 0.787 0.750

- formation enthalpy at 0 K (eV per atom) = -1.643
- excess energy over the best structure of this formula in the dataset (meV per atom) = 82
- density (g/cm³) = 3.191


| no. | E_tot (eV/cell) | size of the total moment (μB per cell) |
| --- | --- | --- |
| 1 | -87.9 | 0.0 |
| 2 | -84.4 | 0.1 |
| 3 | -88.1 | 0.0 |
| 4 | -23.2 | 3.0 |
| 5 | -119.2 | 0.0 |
| 6 | -117.7 | 0.0 |
| 7 | -118.9 | 0.0 |
| 8 | -117.4 | 0.0 |